1.
Material: Gd2Hf2Mo7O28
Method: DFT, GGA+U
State: optimized geometry

total energy after the MP2020 corrections = -0.684 Ry/atom
crystal system = monoclinic
total DFT energy (no corrections) = -8.242 eV per atom
space group = C2/c, No. 15

```
data_Gd2Hf2Mo7O28
_chemical_formula_sum 'Gd4 Hf4 Mo14 O56'
_symmetry_space_group_name_H-M 'P 1'
_symmetry_Int_Tables_number 1
_symmetry_space_group_name_Hall 'P 1'
_cell_length_a 11.695
_cell_length_b 11.695
_cell_length_c 14.057
_cell_angle_alpha 69.15
_cell_angle_beta 69.15
_cell_angle_gamma 50.54
loop_
_atom_site_label
_atom_site_fract_x
_atom_site_fract_y
_atom_site_fract_z
_atom_site_occupancy
O1 0.641 0.072 0.496 1
O2 0.335 0.171 0.529 1
O3 0.053 0.171 0.416 1
O4 0.559 0.362 0.681 1
O5 0.998 0.796 0.782 1
O6 0.665 0.829 0.471 1
O7 0.961 0.610 0.550 1
O8 0.060 0.317 0.666 1
O9 0.552 0.696 0.661 1
O10 0.928 0.359 0.004 1
Mo1 0.702 0.298 0.750 1
O11 0.362 0.559 0.181 1
O12 0.940 0.683 0.334 1
O13 0.375 0.390 0.044 1
Hf1 0.652 0.580 0.312 1
O14 0.390 0.039 0.950 1
O15 0.696 0.552 0.161 1
O16 0.359 0.928 0.504 1
O17 0.577 0.805 0.261 1
O18 0.066 0.974 0.602 1
O19 0.127 0.487 0.717 1
Gd1 0.851 0.875 0.937 1
Hf2 0.580 0.652 0.812 1
O20 0.026 0.934 0.898 1
O21 0.736 0.358 0.375 1
O22 0.610 0.625 0.456 1
Hf3 0.420 0.348 0.188 1
O23 0.039 0.390 0.450 1
O24 0.513 0.873 0.783 1
O25 0.264 0.642 0.625 1
O26 0.448 0.304 0.339 1
O27 0.171 0.335 0.029 1
O28 0.934 0.026 0.398 1
O29 0.829 0.665 0.971 1
O30 0.740 0.134 0.842 1
Mo2 0.189 0.933 0.853 1
Mo3 0.456 0.229 0.477 1
Mo4 0.501 0.012 0.826 1
O31 0.358 0.736 0.875 1
Mo5 0.988 0.499 0.674 1
Mo6 0.811 0.067 0.147 1
O32 0.204 0.002 0.718 1
O33 0.002 0.204 0.218 1
O34 0.638 0.441 0.819 1
Gd2 0.149 0.125 0.063 1
O35 0.796 0.998 0.282 1
O36 0.805 0.577 0.761 1
Mo7 0.012 0.501 0.326 1
O37 0.171 0.053 0.916 1
O38 0.974 0.066 0.102 1
Mo8 0.933 0.189 0.353 1
Hf4 0.348 0.420 0.688 1
O39 0.829 0.947 0.084 1
Gd3 0.875 0.851 0.437 1
O40 0.317 0.060 0.166 1
O41 0.134 0.740 0.342 1
Mo9 0.499 0.988 0.174 1
O42 0.610 0.961 0.050 1
O43 0.304 0.448 0.839 1
O44 0.625 0.610 0.956 1
O45 0.423 0.195 0.739 1
Gd4 0.125 0.149 0.563 1
Mo10 0.067 0.811 0.647 1
Mo11 0.229 0.456 0.977 1
Mo12 0.771 0.544 0.023 1
O46 0.873 0.513 0.283 1
O47 0.195 0.423 0.239 1
O48 0.441 0.638 0.319 1
O49 0.642 0.264 0.125 1
O50 0.947 0.829 0.584 1
Mo13 0.298 0.702 0.250 1
O51 0.260 0.866 0.158 1
O52 0.390 0.375 0.544 1
O53 0.487 0.127 0.217 1
O54 0.072 0.641 0.996 1
Mo14 0.544 0.771 0.523 1
O55 0.683 0.940 0.834 1
O56 0.866 0.260 0.658 1
```

2.
Material: K3CrC3N3O4
Method: DFT, GGA+U
State: optimized geometry

total energy after the MP2020 corrections = -0.489 Ry/atom
crystal system = monoclinic
total DFT energy (no corrections) = -6.465 eV per atom
space group = P2/c, No. 13

```
data_K3CrC3N3O4
_chemical_formula_sum 'K12 Cr4 C12 N12 O16'
_symmetry_space_group_name_H-M 'P 1'
_symmetry_Int_Tables_number 1
_symmetry_space_group_name_Hall 'P 1'
_cell_length_a 7.747
_cell_length_b 11.747
_cell_length_c 12.290
_cell_angle_alpha 69.09
_cell_angle_beta 90.00
_cell_angle_gamma 90.00
loop_
_atom_site_label
_atom_site_fract_x
_atom_site_fract_y
_atom_site_fract_z
_atom_site_occupancy
C1 0.995 0.886 0.286 1
K1 0.146 0.881 0.677 1
O1 0.126 0.132 0.160 1
O2 0.132 0.071 0.075 1
K2 0.869 0.250 0.000 1
N1 0.388 0.596 0.130 1
O3 0.297 0.661 0.828 1
O4 0.132 0.429 0.925 1
K3 0.604 0.750 0.500 1
O5 0.297 0.839 0.172 1
O6 0.874 0.868 0.840 1
C2 0.733 0.997 0.625 1
N2 0.137 0.339 0.322 1
N3 0.137 0.161 0.678 1
O7 0.703 0.161 0.828 1
N4 0.280 0.474 0.540 1
O8 0.646 0.316 0.291 1
O9 0.646 0.184 0.709 1
O10 0.868 0.929 0.925 1
K4 0.351 0.168 0.872 1
K5 0.131 0.750 0.000 1
K6 0.854 0.119 0.323 1
Cr1 0.765 0.028 0.779 1
O11 0.354 0.684 0.709 1
N5 0.388 0.904 0.870 1
O12 0.703 0.339 0.172 1
K7 0.649 0.832 0.128 1
C3 0.733 0.503 0.375 1
C4 0.524 0.555 0.164 1
Cr2 0.235 0.528 0.779 1
N6 0.612 0.096 0.130 1
K8 0.649 0.668 0.872 1
N7 0.612 0.404 0.870 1
N8 0.863 0.839 0.322 1
N9 0.720 0.526 0.460 1
C5 0.476 0.055 0.164 1
K9 0.396 0.250 0.500 1
Cr3 0.235 0.972 0.221 1
C6 0.476 0.445 0.836 1
O13 0.354 0.816 0.291 1
N10 0.863 0.661 0.678 1
C7 0.524 0.945 0.836 1
C8 0.005 0.386 0.286 1
O14 0.874 0.632 0.160 1
C9 0.267 0.003 0.375 1
O15 0.868 0.571 0.075 1
C10 0.005 0.114 0.714 1
O16 0.126 0.368 0.840 1
K10 0.146 0.619 0.323 1
Cr4 0.765 0.472 0.221 1
K11 0.854 0.381 0.677 1
N11 0.720 0.974 0.540 1
K12 0.351 0.332 0.128 1
C11 0.267 0.497 0.625 1
N12 0.280 0.026 0.460 1
C12 0.995 0.614 0.714 1
```

3.
Material: Li4Fe3P4H2O16
Method: DFT, GGA+U
State: optimized geometry

total energy after the MP2020 corrections = -0.530 Ry/atom
crystal system = monoclinic
total DFT energy (no corrections) = -6.596 eV per atom
space group = P2_1/c, No. 14

```
data_Li4Fe3P4H2O16
_chemical_formula_sum 'Li8 Fe6 P8 H4 O32'
_symmetry_space_group_name_H-M 'P 1'
_symmetry_Int_Tables_number 1
_symmetry_space_group_name_Hall 'P 1'
_cell_length_a 9.480
_cell_length_b 8.690
_cell_length_c 9.255
_cell_angle_alpha 64.01
_cell_angle_beta 90.00
_cell_angle_gamma 90.00
loop_
_atom_site_label
_atom_site_fract_x
_atom_site_fract_y
_atom_site_fract_z
_atom_site_occupancy
O1 0.373 0.638 0.837 1
O2 0.811 0.707 0.995 1
O3 0.127 0.138 0.837 1
Li1 0.346 0.419 0.034 1
Fe1 0.133 0.106 0.624 1
P1 0.684 0.565 0.620 1
O4 0.873 0.862 0.163 1
O5 0.866 0.911 0.594 1
Fe2 0.367 0.606 0.624 1
O6 0.134 0.089 0.406 1
Li2 0.520 0.783 0.311 1
P2 0.185 0.310 0.830 1
O7 0.076 0.786 0.446 1
O8 0.366 0.589 0.406 1
O9 0.800 0.006 0.805 1
Li3 0.154 0.919 0.034 1
Fe3 0.000 0.500 0.500 1
H1 0.696 0.360 0.888 1
O10 0.189 0.293 0.005 1
Fe4 0.867 0.894 0.376 1
Li4 0.980 0.283 0.311 1
O11 0.662 0.658 0.238 1
O12 0.329 0.870 0.463 1
O13 0.171 0.370 0.463 1
Li5 0.480 0.217 0.689 1
O14 0.627 0.362 0.163 1
O15 0.911 0.537 0.276 1
Li6 0.654 0.581 0.966 1
H2 0.304 0.640 0.112 1
H3 0.804 0.860 0.888 1
P3 0.316 0.435 0.380 1
O16 0.671 0.130 0.537 1
P4 0.816 0.065 0.620 1
O17 0.162 0.842 0.762 1
O18 0.089 0.463 0.724 1
P5 0.184 0.935 0.380 1
P6 0.315 0.810 0.830 1
Fe5 0.500 0.000 0.500 1
Fe6 0.633 0.394 0.376 1
O19 0.829 0.630 0.537 1
O20 0.838 0.158 0.238 1
O21 0.689 0.207 0.995 1
H4 0.196 0.140 0.112 1
O22 0.338 0.342 0.762 1
Li7 0.020 0.717 0.689 1
P7 0.815 0.690 0.170 1
Li8 0.846 0.081 0.966 1
O23 0.924 0.214 0.554 1
O24 0.200 0.994 0.195 1
P8 0.685 0.190 0.170 1
O25 0.576 0.714 0.554 1
O26 0.634 0.411 0.594 1
O27 0.411 0.963 0.724 1
O28 0.700 0.506 0.805 1
O29 0.589 0.037 0.276 1
O30 0.424 0.286 0.446 1
O31 0.300 0.494 0.195 1
O32 0.311 0.793 0.005 1
```

4.
Material: Ca8Mn7CrO20
Method: DFT, GGA+U
State: optimized geometry

total energy after the MP2020 corrections = -0.568 Ry/atom
crystal system = monoclinic
total DFT energy (no corrections) = -6.969 eV per atom
space group = Cm, No. 8

```
data_Ca8Mn7CrO20
_chemical_formula_sum 'Ca8 Mn7 Cr1 O20'
_symmetry_space_group_name_H-M 'P 1'
_symmetry_Int_Tables_number 1
_symmetry_space_group_name_Hall 'P 1'
_cell_length_a 7.846
_cell_length_b 7.846
_cell_length_c 7.648
_cell_angle_alpha 88.50
_cell_angle_beta 88.50
_cell_angle_gamma 90.73
loop_
_atom_site_label
_atom_site_fract_x
_atom_site_fract_y
_atom_site_fract_z
_atom_site_occupancy
Mn1 0.503 0.503 0.489 1
O1 0.255 0.502 0.042 1
Mn2 0.489 0.001 0.004 1
O2 0.934 0.934 0.797 1
O3 0.010 0.253 0.502 1
O4 0.501 0.745 0.491 1
O5 0.483 0.483 0.743 1
Ca1 0.722 0.256 0.707 1
O6 0.502 0.255 0.042 1
Ca2 0.250 0.732 0.259 1
O7 0.745 0.501 0.491 1
Ca3 0.745 0.745 0.273 1
O8 0.988 0.565 0.237 1
Ca4 0.270 0.270 0.691 1
Ca5 0.732 0.250 0.259 1
O9 0.963 0.225 0.068 1
Ca6 0.255 0.255 0.257 1
O10 0.261 0.498 0.461 1
O11 0.508 0.032 0.750 1
O12 0.225 0.963 0.068 1
Ca7 0.256 0.722 0.707 1
O13 0.751 0.518 0.000 1
Mn3 0.001 0.489 0.004 1
O14 0.014 0.761 0.489 1
O15 0.565 0.988 0.237 1
O16 0.518 0.751 0.000 1
Cr1 0.019 0.019 0.991 1
O17 0.032 0.508 0.750 1
Mn4 0.501 0.501 0.996 1
O18 0.253 0.010 0.502 1
O19 0.498 0.261 0.461 1
Mn5 0.508 0.001 0.490 1
Mn6 0.003 0.003 0.523 1
Ca8 0.727 0.727 0.739 1
Mn7 0.001 0.508 0.490 1
O20 0.761 0.014 0.489 1
```

5.
Material: Pr2B2MoO9
Method: DFT, GGA+U
State: optimized geometry

total energy after the MP2020 corrections = -0.635 Ry/atom
crystal system = triclinic
total DFT energy (no corrections) = -7.969 eV per atom
space group = P-1, No. 2

```
data_Pr2B2MoO9
_chemical_formula_sum 'Pr4 B4 Mo2 O18'
_symmetry_space_group_name_H-M 'P 1'
_symmetry_Int_Tables_number 1
_symmetry_space_group_name_Hall 'P 1'
_cell_length_a 5.362
_cell_length_b 7.113
_cell_length_c 10.753
_cell_angle_alpha 74.46
_cell_angle_beta 76.14
_cell_angle_gamma 73.01
loop_
_atom_site_label
_atom_site_fract_x
_atom_site_fract_y
_atom_site_fract_z
_atom_site_occupancy
O1 0.516 0.220 0.147 1
Pr1 0.157 0.206 0.046 1
O2 0.546 0.142 0.861 1
O3 0.766 0.472 0.073 1
B1 0.460 0.588 0.863 1
B2 0.540 0.412 0.137 1
Mo1 0.038 0.710 0.581 1
O4 0.855 0.558 0.376 1
O5 0.695 0.819 0.554 1
Mo2 0.962 0.290 0.419 1
O6 0.011 0.866 0.134 1
Pr2 0.630 0.922 0.314 1
Pr3 0.370 0.078 0.686 1
O7 0.240 0.790 0.430 1
O8 0.145 0.442 0.624 1
O9 0.313 0.546 0.186 1
B3 0.263 0.754 0.156 1
Pr4 0.843 0.794 0.954 1
O10 0.305 0.181 0.446 1
O11 0.989 0.134 0.866 1
O12 0.234 0.528 0.927 1
O13 0.687 0.454 0.814 1
O14 0.918 0.173 0.298 1
B4 0.737 0.246 0.844 1
O15 0.760 0.210 0.570 1
O16 0.454 0.858 0.139 1
O17 0.484 0.780 0.853 1
O18 0.082 0.827 0.702 1
```

6.
Material: LiMn6O4F8
Method: DFT, GGA+U
State: optimized geometry

total energy after the MP2020 corrections = -0.541 Ry/atom
crystal system = triclinic
total DFT energy (no corrections) = -6.498 eV per atom
space group = P1, No. 1

```
data_LiMn6O4F8
_chemical_formula_sum 'Li1 Mn6 O4 F8'
_symmetry_space_group_name_H-M 'P 1'
_symmetry_Int_Tables_number 1
_symmetry_space_group_name_Hall 'P 1'
_cell_length_a 5.043
_cell_length_b 8.052
_cell_length_c 5.821
_cell_angle_alpha 94.86
_cell_angle_beta 93.34
_cell_angle_gamma 86.93
loop_
_atom_site_label
_atom_site_fract_x
_atom_site_fract_y
_atom_site_fract_z
_atom_site_occupancy
F1 0.286 0.561 0.840 1
Mn1 0.004 0.332 0.321 1
Mn2 0.996 0.974 0.005 1
F2 0.196 0.899 0.694 1
O1 0.688 0.767 0.471 1
O2 0.333 0.219 0.512 1
F3 0.804 0.092 0.307 1
Mn3 0.967 0.671 0.660 1
F4 0.336 0.899 0.196 1
F5 0.685 0.097 0.816 1
O3 0.820 0.753 0.940 1
F6 0.800 0.421 0.617 1
F7 0.201 0.214 0.024 1
Li1 0.505 0.227 0.228 1
Mn4 0.498 0.983 0.518 1
F8 0.154 0.572 0.376 1
O4 0.670 0.405 0.105 1
Mn5 0.574 0.656 0.153 1
Mn6 0.496 0.334 0.799 1
```

7.
Material: LiNi4O5
Method: DFT, GGA+U
State: optimized geometry

total energy after the MP2020 corrections = -0.462 Ry/atom
crystal system = tetragonal
total DFT energy (no corrections) = -4.932 eV per atom
space group = I4/m, No. 87

```
data_LiNi4O5
_chemical_formula_sum 'Li1 Ni4 O5'
_symmetry_space_group_name_H-M 'P 1'
_symmetry_Int_Tables_number 1
_symmetry_space_group_name_Hall 'P 1'
_cell_length_a 5.102
_cell_length_b 5.102
_cell_length_c 5.102
_cell_angle_alpha 99.60
_cell_angle_beta 99.60
_cell_angle_gamma 131.80
loop_
_atom_site_label
_atom_site_fract_x
_atom_site_fract_y
_atom_site_fract_z
_atom_site_occupancy
O1 0.897 0.309 0.206 1
O2 0.691 0.897 0.588 1
Ni1 0.796 0.601 0.398 1
O3 0.500 0.500 0.000 1
Ni2 0.601 0.204 0.805 1
Ni3 0.399 0.796 0.195 1
Ni4 0.204 0.399 0.602 1
O4 0.309 0.103 0.412 1
Li1 0.000 0.000 0.000 1
O5 0.103 0.691 0.794 1
```

8.
Material: LiCr2P3O13
Method: DFT, GGA+U
State: optimized geometry

total energy after the MP2020 corrections = -0.561 Ry/atom
crystal system = monoclinic
total DFT energy (no corrections) = -6.946 eV per atom
space group = C2/c, No. 15

```
data_LiCr2P3O13
_chemical_formula_sum 'Li2 Cr4 P6 O26'
_symmetry_space_group_name_H-M 'P 1'
_symmetry_Int_Tables_number 1
_symmetry_space_group_name_Hall 'P 1'
_cell_length_a 8.734
_cell_length_b 8.734
_cell_length_c 8.427
_cell_angle_alpha 69.80
_cell_angle_beta 69.80
_cell_angle_gamma 106.99
loop_
_atom_site_label
_atom_site_fract_x
_atom_site_fract_y
_atom_site_fract_z
_atom_site_occupancy
O1 0.062 0.213 0.705 1
O2 0.898 0.355 0.886 1
O3 0.355 0.898 0.386 1
O4 0.345 0.307 0.770 1
P1 0.991 0.009 0.750 1
O5 0.645 0.102 0.614 1
O6 0.213 0.062 0.205 1
O7 0.999 0.890 0.927 1
Cr1 0.671 0.837 0.673 1
O8 0.110 0.001 0.573 1
Li1 0.500 0.000 0.000 1
O9 0.457 0.201 0.465 1
P2 0.649 0.241 0.444 1
O10 0.307 0.345 0.270 1
O11 0.201 0.457 0.965 1
O12 0.799 0.543 0.035 1
O13 0.102 0.645 0.114 1
O14 0.237 0.763 0.750 1
O15 0.787 0.938 0.795 1
Cr2 0.163 0.329 0.827 1
Li2 0.000 0.500 0.500 1
P3 0.241 0.649 0.944 1
O16 0.754 0.440 0.405 1
P4 0.009 0.991 0.250 1
O17 0.763 0.237 0.250 1
O18 0.543 0.799 0.535 1
O19 0.560 0.246 0.095 1
O20 0.001 0.110 0.073 1
P5 0.351 0.759 0.556 1
Cr3 0.329 0.163 0.327 1
O21 0.655 0.693 0.230 1
O22 0.890 0.999 0.427 1
O23 0.938 0.787 0.295 1
P6 0.759 0.351 0.056 1
O24 0.693 0.655 0.730 1
O25 0.440 0.754 0.905 1
Cr4 0.837 0.671 0.173 1
O26 0.246 0.560 0.595 1
```